(1)
This record from the Materials Project database describes a geometry-optimized NbPt2 structure. The functional is GGA-PBE.

The total energy comes out at -23.35 eV per cell. The density comes out at 16.29 g/cm3. Its crystal system is trigonal.

The structure belongs to space group P-3m1 (No. 164); the cell edges are 2.8580, 2.8580 and 6.9620 Å and the angles 90.00°, 90.00° and 120.00°. The inequivalent atoms are Nb at (0.0000, 0.0000, 0.0000) and Pt at (0.3333, 0.6667, 0.6734).

(2)
This record from the Materials Project database describes a geometry-optimized Mg2Cd structure. The functional is GGA-PBE.

The total energy comes out at -8.31 eV per cell. The density comes out at 3.96 g/cm3. Its crystal system is hexagonal.

The structure belongs to space group P6_3/mmc (No. 194); the cell edges are 3.1700, 3.1700 and 15.5158 Å and the angles 90.00°, 90.00° and 120.00°. The inequivalent atoms are Mg at (0.3333, 0.6667, 0.0846) and Cd at (0.3333, 0.6667, 0.7500).